# 1
A relaxed structure of SrCaS2. Source: Materials Project, functional PBE.

Output
VASP energy: -5.109 eV/atom
V: 103 Å³/cell
Magnetization: 0.00 μB/f.u.

CIF file:
```
data_SrCaS2
_cell_length_a 4.174
_cell_length_b 4.174
_cell_length_c 5.901
_cell_angle_alpha 90.00
_cell_angle_beta 90.00
_cell_angle_gamma 90.00
_symmetry_space_group_name_H-M 'P 4/m m m'
_symmetry_Int_Tables_number 123
_symmetry_space_group_name_Hall '-P 4 2'
loop_
_atom_site_label
_atom_site_type_symbol
_atom_site_fract_x
_atom_site_fract_y
_atom_site_fract_z
_atom_site_occupancy
Sr1 Sr 0.000 0.000 0.000 1
Ca1 Ca 0.500 0.500 0.500 1
S1 S 0.000 0.000 0.500 1
S2 S 0.500 0.500 0.000 1
```

=====

# 2
A relaxed structure of KLaP4O12. Source: Materials Project, functional PBE.

Output
E above lowest polymorph: 0.061 eV per atom
V: 1300 Å³/cell
Magnetization: 0.00 μB/f.u.

CIF file:
```
data_KLaP4O12
_cell_length_a 8.003
_cell_length_b 11.701
_cell_length_c 13.885
_cell_angle_alpha 90.00
_cell_angle_beta 90.00
_cell_angle_gamma 90.00
_symmetry_space_group_name_H-M 'C m c 21'
_symmetry_Int_Tables_number 36
loop_
_symmetry_equiv_pos_as_xyz
'x,y,z'
'-x,-y,z+1/2'
'-x,y,z'
'x,-y,z+1/2'
'x+1/2,y+1/2,z'
'-x+1/2,-y+1/2,z+1/2'
'-x+1/2,y+1/2,z'
'x+1/2,-y+1/2,z+1/2'
loop_
_atom_site_label
_atom_site_type_symbol
_atom_site_fract_x
_atom_site_fract_y
_atom_site_fract_z
_atom_site_occupancy
K1 K 0.000 0.189 0.000 1
La1 La 0.000 0.387 0.480 1
P1 P 0.182 0.116 0.581 1
P2 P 0.192 0.055 0.789 1
O1 O 0.000 0.056 0.563 1
O2 O 0.000 0.070 0.827 1
O3 O 0.183 0.233 0.536 1
O4 O 0.190 0.137 0.694 1
O5 O 0.192 0.469 0.045 1
O6 O 0.211 0.375 0.363 1
O7 O 0.241 0.064 0.267 1
```

=====

# 3
A relaxed structure of Rb2SnF6. Source: Materials Project, functional PBE.

Output
VASP energy: -4.663 eV/atom
V: 166 Å³/cell

CIF file:
```
data_Rb2SnF6
_cell_length_a 6.1520
_cell_length_b 6.1520
_cell_length_c 5.0607
_cell_angle_alpha 90.00
_cell_angle_beta 90.00
_cell_angle_gamma 120.00
_symmetry_space_group_name_H-M 'P -3 m 1'
_symmetry_Int_Tables_number 164
_symmetry_space_group_name_Hall '-P 3 2"'
loop_
_atom_site_label
_atom_site_type_symbol
_atom_site_fract_x
_atom_site_fract_y
_atom_site_fract_z
_atom_site_occupancy
Rb1 Rb 0.3333 0.6667 0.3172 1
Sn1 Sn 0.0000 0.0000 0.0000 1
F1 F 0.1569 0.3139 0.7789 1
```

=====

Q: What is the formula in the second record?
A: KLaP4O12